# ZrZn20Cu2 PBE optimized geometry
# SG   Fd-3m
# ΔE_f   -115 meV/atom
data_ZrZn20Cu2
_chemical_formula_sum 'Zr2 Zn40 Cu4'
_cell_length_a 9.929
_cell_length_b 9.929
_cell_length_c 9.929
_cell_angle_alpha 60.00
_cell_angle_beta 60.00
_cell_angle_gamma 60.00
_space_group_name_H-M_alt 'P 1'
_space_group_IT_number 1
loop_
_space_group_symop_operation_xyz
'x,y,z'
loop_
_atom_site_label
_atom_site_type_symbol
_atom_site_fract_x
_atom_site_fract_y
_atom_site_fract_z
Zr1 Zr 0.125 0.125 0.125
Zr2 Zr 0.875 0.875 0.875
Zn1 Zn 0.000 0.000 0.000
Zn2 Zn 0.000 0.000 0.500
Zn3 Zn 0.000 0.500 0.000
Zn4 Zn 0.058 0.321 0.321
Zn5 Zn 0.058 0.321 0.801
Zn6 Zn 0.058 0.801 0.321
Zn7 Zn 0.199 0.679 0.679
Zn8 Zn 0.199 0.679 0.942
Zn9 Zn 0.199 0.942 0.679
Zn10 Zn 0.235 0.235 0.515
Zn11 Zn 0.235 0.515 0.235
Zn12 Zn 0.235 0.515 0.515
Zn13 Zn 0.321 0.058 0.321
Zn14 Zn 0.321 0.058 0.801
Zn15 Zn 0.321 0.321 0.058
Zn16 Zn 0.321 0.321 0.801
Zn17 Zn 0.321 0.801 0.058
Zn18 Zn 0.321 0.801 0.321
Zn19 Zn 0.485 0.485 0.765
Zn20 Zn 0.485 0.765 0.485
Zn21 Zn 0.485 0.765 0.765
Zn22 Zn 0.500 0.000 0.000
Zn23 Zn 0.515 0.235 0.235
Zn24 Zn 0.515 0.235 0.515
Zn25 Zn 0.515 0.515 0.235
Zn26 Zn 0.679 0.199 0.679
Zn27 Zn 0.679 0.199 0.942
Zn28 Zn 0.679 0.679 0.199
Zn29 Zn 0.679 0.679 0.942
Zn30 Zn 0.679 0.942 0.199
Zn31 Zn 0.679 0.942 0.679
Zn32 Zn 0.765 0.485 0.485
Zn33 Zn 0.765 0.485 0.765
Zn34 Zn 0.765 0.765 0.485
Zn35 Zn 0.801 0.058 0.321
Zn36 Zn 0.801 0.321 0.058
Zn37 Zn 0.801 0.321 0.321
Zn38 Zn 0.942 0.199 0.679
Zn39 Zn 0.942 0.679 0.199
Zn40 Zn 0.942 0.679 0.679
Cu1 Cu 0.000 0.500 0.500
Cu2 Cu 0.500 0.000 0.500
Cu3 Cu 0.500 0.500 0.000
Cu4 Cu 0.500 0.500 0.500